1.
Density functional theory data (PBE-GGA) for a relaxed Fe3Co3Si2 crystal.

Summary:
- ΔE_f (kcal/mol of atoms) = -8.33
- space-group type = R3m, No. 160

Lattice parameters (Å, degrees): 6.882 6.882 6.882 33.50 33.50 33.50
Fractional coordinates of all 8 atoms:
Fe 0.625 0.625 0.625
Fe 0.750 0.750 0.750
Fe 0.250 0.250 0.250
Co 0.376 0.376 0.376
Co 0.874 0.874 0.874
Co 0.125 0.125 0.125
Si 0.000 0.000 0.000
Si 0.500 0.500 0.500



2.
Density functional theory data (PBE-GGA) for a relaxed Sr2Ti5Al17O38 crystal.

Summary:
- ΔE_f (kcal/mol of atoms) = -79.06
- space-group type = C2/c, No. 15

Lattice parameters (Å, degrees): 12.730 12.730 9.851 82.51 82.51 51.95
Fractional coordinates of all 124 atoms:
Sr 0.186 0.923 0.563
Sr 0.814 0.077 0.437
Sr 0.077 0.814 0.937
Sr 0.923 0.186 0.063
Ti 0.893 0.107 0.750
Ti 0.107 0.893 0.250
Ti 0.568 0.810 0.870
Ti 0.432 0.190 0.130
Ti 0.190 0.432 0.630
Ti 0.810 0.568 0.370
Ti 0.778 0.016 0.134
Ti 0.222 0.984 0.866
Ti 0.984 0.222 0.366
Ti 0.016 0.778 0.634
Al 0.529 0.266 0.613
Al 0.471 0.734 0.387
Al 0.734 0.471 0.887
Al 0.266 0.529 0.113
Al 0.654 0.134 0.867
Al 0.346 0.866 0.133
Al 0.866 0.346 0.633
Al 0.134 0.654 0.367
Al 0.622 0.378 0.750
Al 0.378 0.622 0.250
Al 0.348 0.596 0.585
Al 0.652 0.404 0.415
Al 0.404 0.652 0.915
Al 0.596 0.348 0.085
Al 0.395 0.149 0.819
Al 0.605 0.851 0.181
Al 0.851 0.605 0.681
Al 0.149 0.395 0.319
Al 0.801 0.805 0.911
Al 0.199 0.195 0.089
Al 0.195 0.199 0.589
Al 0.805 0.801 0.411
Al 0.458 0.933 0.592
Al 0.542 0.067 0.408
Al 0.067 0.542 0.908
Al 0.933 0.458 0.092
Al 0.676 0.938 0.655
Al 0.324 0.062 0.345
Al 0.062 0.324 0.845
Al 0.938 0.676 0.155
Al 0.590 0.616 0.634
Al 0.410 0.384 0.366
Al 0.384 0.410 0.866
Al 0.616 0.590 0.134
O 0.273 0.023 0.690
O 0.727 0.977 0.310
O 0.977 0.727 0.810
O 0.023 0.273 0.190
O 0.569 0.327 0.918
O 0.431 0.673 0.082
O 0.673 0.431 0.582
O 0.327 0.569 0.418
O 0.820 0.071 0.919
O 0.180 0.929 0.081
O 0.929 0.180 0.581
O 0.071 0.820 0.419
O 0.717 0.971 0.809
O 0.283 0.029 0.191
O 0.029 0.283 0.691
O 0.971 0.717 0.309
O 0.688 0.207 0.696
O 0.312 0.793 0.304
O 0.793 0.312 0.804
O 0.207 0.688 0.196
O 0.625 0.898 0.506
O 0.375 0.102 0.494
O 0.102 0.375 0.994
O 0.898 0.625 0.006
O 0.430 0.673 0.555
O 0.570 0.327 0.445
O 0.327 0.570 0.945
O 0.673 0.430 0.055
O 0.748 0.760 0.764
O 0.252 0.240 0.236
O 0.240 0.252 0.736
O 0.760 0.748 0.264
O 0.360 0.354 0.547
O 0.640 0.646 0.453
O 0.646 0.640 0.953
O 0.354 0.360 0.047
O 0.283 0.809 0.836
O 0.717 0.191 0.164
O 0.191 0.717 0.664
O 0.809 0.283 0.336
O 0.478 0.228 0.797
O 0.522 0.772 0.203
O 0.772 0.522 0.703
O 0.228 0.478 0.297
O 0.605 0.103 0.046
O 0.395 0.897 0.954
O 0.897 0.395 0.454
O 0.103 0.605 0.546
O 0.599 0.103 0.553
O 0.401 0.897 0.447
O 0.897 0.401 0.947
O 0.103 0.599 0.053
O 0.846 0.853 0.555
O 0.154 0.147 0.445
O 0.147 0.154 0.945
O 0.853 0.846 0.055
O 0.502 0.990 0.744
O 0.498 0.010 0.256
O 0.010 0.498 0.756
O 0.990 0.502 0.244
O 0.637 0.855 0.000
O 0.363 0.145 0.000
O 0.145 0.363 0.500
O 0.855 0.637 0.500
O 0.955 0.957 0.165
O 0.045 0.043 0.835
O 0.043 0.045 0.335
O 0.957 0.955 0.665
O 0.533 0.775 0.698
O 0.467 0.225 0.302
O 0.225 0.467 0.802
O 0.775 0.533 0.198
O 0.452 0.443 0.693
O 0.548 0.557 0.307
O 0.557 0.548 0.807
O 0.443 0.452 0.193



3.
Density functional theory data (PBE-GGA) for a relaxed K3InCl6 crystal.

Summary:
- ΔE_f (kcal/mol of atoms) = -46.60
- space-group type = P2_1/c, No. 14

Lattice parameters (Å, degrees): 7.749 12.589 12.997 71.09 90.00 90.00
Fractional coordinates of all 40 atoms:
K 0.068 0.611 0.679
K 0.978 0.138 0.100
K 0.438 0.236 0.316
K 0.022 0.862 0.900
K 0.432 0.111 0.679
K 0.562 0.764 0.684
K 0.478 0.362 0.900
K 0.568 0.889 0.321
K 0.062 0.736 0.316
K 0.522 0.638 0.100
K 0.932 0.389 0.321
K 0.938 0.264 0.684
In 0.000 0.500 0.000
In 0.000 0.000 0.500
In 0.500 0.500 0.500
In 0.500 0.000 0.000
Cl 0.295 0.496 0.349
Cl 0.989 0.373 0.885
Cl 0.719 0.409 0.101
Cl 0.136 0.188 0.500
Cl 0.290 0.395 0.652
Cl 0.790 0.105 0.348
Cl 0.822 0.651 0.863
Cl 0.011 0.627 0.115
Cl 0.795 0.004 0.651
Cl 0.178 0.349 0.137
Cl 0.864 0.812 0.500
Cl 0.364 0.688 0.500
Cl 0.511 0.873 0.885
Cl 0.489 0.127 0.115
Cl 0.322 0.849 0.137
Cl 0.781 0.909 0.101
Cl 0.205 0.996 0.349
Cl 0.210 0.895 0.652
Cl 0.281 0.591 0.899
Cl 0.705 0.504 0.651
Cl 0.678 0.151 0.863
Cl 0.219 0.091 0.899
Cl 0.636 0.312 0.500
Cl 0.710 0.605 0.348